K2TlCuCl6: relaxed, PBE.

Cell: 10.3020 10.3020 10.3020 Å, 90.00 90.00 90.00°
Last column: nearest neighbours and their distance in Å.
Space group Fm-3m (No. 225)
Asymmetric unit:
K (0.2500, 0.2500, 0.2500) [8 per cell]  12 Cl 3.64
Tl (0.0000, 0.0000, 0.0000) [4 per cell]  6 Cl 2.70
Cu (0.0000, 0.0000, 0.5000) [4 per cell]  6 Cl 2.45
Cl (0.0000, 0.0000, 0.2625) [24 per cell]  1 Cu 2.45, 1 Tl 2.70

- Magnetization: 0.001 μB per atom
- E_form: -147.0 kJ per mole of atoms
- Electronic total energy: -31.328 eV/f.u.

Mg6NbC: relaxed, PBE.

Cell: 4.4112 7.8156 9.7486 Å, 90.00 90.00 90.00°
Last column: nearest neighbours and their distance in Å.
Space group Amm2 (No. 38)
Asymmetric unit:
Mg (0.0000, 0.0000, 0.0000) [2 per cell]  8 Mg 2.89-3.08
Mg (0.0000, 0.1934, 0.3015) [4 per cell]  9 Mg 3.02-3.37, 2 Nb 3.07-3.26
Mg (0.5000, 0.0000, 0.7878) [2 per cell]  1 C 2.21
Mg (0.5000, 0.2288, 0.0551) [4 per cell]  1 C 2.12
Nb (0.0000, 0.0000, 0.5753) [2 per cell]  2 C 2.21
C (0.5000, 0.0000, 0.5612) [2 per cell]  3 Mg 2.12-2.21, 2 Nb 2.21

- Magnetization: 0.013 μB per atom
- E_form: 28.7 kJ per mole of atoms
- ΔE to the lowest computed polymorph: 0 meV per atom
- Electronic total energy: -26.552 eV/f.u.

ZrMnAl: relaxed, PBE.

Cell: 8.4543 5.2488 8.8513 Å, 90.00 90.00 90.00°
Last column: nearest neighbours and their distance in Å.
Space group Amm2 (No. 38)
Asymmetric unit:
Zr (0.1789, 0.0000, 0.0000) [4 per cell]  5 Al 2.95-3.09, 7 Mn 2.97-3.08, 4 Zr 3.02-3.20
Zr (0.3068, 0.0000, 0.3343) [4 per cell]  5 Mn 2.96-3.09, 7 Al 3.04-3.05, 4 Zr 3.15-3.27
Mn (0.0000, 0.0000, 0.4944) [2 per cell]  4 Mn 2.45-2.70, 2 Al 2.57
Mn (0.0000, 0.2391, 0.2568) [4 per cell]  4 Mn 2.45-2.74, 2 Al 2.57
Mn (0.5000, 0.0000, 0.8361) [2 per cell]  6 Al 2.52-2.63
Al (0.2411, 0.0000, 0.6721) [4 per cell]  4 Mn 2.57-2.63, 2 Al 2.69
Al (0.5000, 0.2440, 0.0813) [4 per cell]  2 Mn 2.52-2.63, 4 Al 2.56-2.69

- Magnetization: 0.295 μB per atom
- E_form: -34.3 kJ per mole of atoms
- Electronic total energy: -22.521 eV/f.u.

SnPO4: relaxed, PBE.

Cell: 5.7268 10.3992 8.7101 Å, 90.00 127.79 90.00°
Last column: nearest neighbours and their distance in Å.
Space group P2_1/c (No. 14)
Asymmetric unit:
Sn (0.2116, 0.1612, 0.0041) [4 per cell]  4 O 2.09-2.24
P (0.0884, 0.0821, 0.2551) [4 per cell]  4 O 1.56-1.58
O (0.0332, 0.5632, 0.7655) [4 per cell]  1 P 1.56
O (0.0388, 0.1566, 0.3881) [4 per cell]  1 P 1.56
O (0.1300, 0.6232, 0.4663) [4 per cell]  1 P 1.58
O (0.3989, 0.1144, 0.3107) [4 per cell]  1 P 1.57

- Magnetization: 0.000 μB per atom
- E_form: -205.0 kJ per mole of atoms
- Electronic total energy: -39.218 eV/f.u.